The following is a DFT calculation (PBE with a Hubbard U) of crystalline La5V3S6O7 at its relaxed geometry.

Cell: 3.8263 10.3327 18.1113 Å, 90.00 90.00 90.00°
With the nearest neighbours (Å) after each atom.
Fractional positions:
La: 0.0000 0.0893 0.5849  5 O 2.40-2.57
O: 0.0000 0.4033 0.2483  4 La 2.36-2.45
V: 0.5000 0.2513 0.4432  2 O 1.95-1.99
S: 0.5000 0.6456 0.0156  2 V 2.55
V: 0.5000 0.2526 0.0570  2 O 1.82-1.87
O: 0.0000 0.9039 0.0049  1 V 1.95
O: 0.0000 0.8911 0.4989  1 V 1.82
O: 0.5000 0.3872 0.1262  1 V 1.87
S: 0.0000 0.1483 0.1308  2 V 2.57
S: 0.0000 0.1459 0.3691  2 V 2.58
La: 0.5000 0.9107 0.0849  5 O 2.40-2.57
O: 0.5000 0.5967 0.7483  4 La 2.36-2.45
O: 0.5000 0.0961 0.5049  1 V 1.95
S: 0.0000 0.0391 0.7493  2 V 2.46
V: 0.0000 0.7487 0.9432  2 O 1.95-1.99
S: 0.0000 0.3544 0.5156  2 V 2.55
S: 0.5000 0.9609 0.2493  2 V 2.46
La: 0.5000 0.9160 0.4129  5 O 2.48-2.56
O: 0.5000 0.1089 0.9989  1 V 1.82
La: 0.0000 0.5315 0.1347  4 O 2.43-2.67
V: 0.5000 0.1883 0.7501  2 O 1.84-1.85
O: 0.0000 0.6128 0.6262  1 V 1.87
O: 0.5000 0.3957 0.3702  1 V 1.99
O: 0.5000 0.2076 0.8514  1 V 1.85
O: 0.0000 0.7885 0.1494  1 V 1.84
S: 0.0000 0.3576 0.7497  2 V 2.59
La: 0.0000 0.0840 0.9129  5 O 2.48-2.56
V: 0.0000 0.8117 0.2501  2 O 1.84-1.85
S: 0.5000 0.6424 0.2497  2 V 2.59
S: 0.5000 0.6495 0.4877  2 V 2.50
V: 0.0000 0.7474 0.5570  2 O 1.82-1.87
La: 0.0000 0.7300 0.7517  4 O 2.36-2.58
O: 0.0000 0.7924 0.3514  1 V 1.85
La: 0.5000 0.4744 0.8642  3 O 2.34-2.45
La: 0.5000 0.4685 0.6347  4 O 2.43-2.67
S: 0.0000 0.3505 0.9877  2 V 2.50
La: 0.5000 0.2700 0.2517  4 O 2.36-2.58
S: 0.5000 0.8517 0.6308  2 V 2.57
O: 0.5000 0.2115 0.6494  1 V 1.84
S: 0.5000 0.8541 0.8691  2 V 2.58
La: 0.0000 0.5256 0.3642  3 O 2.34-2.45
O: 0.0000 0.6043 0.8702  1 V 1.99

Values from the calculation:
symmetry: No. 31
corrected total energy (MP2020 scheme): -338.8 eV for the cell shown
crystal system: orthorhombic
energy of formation from the pure elements: -2.76 eV/atom
final energy: -156.5 eV/f.u.